# B10H14S PBE relaxed
data_B10H14S
_chemical_formula_sum 'B40 H56 S4'
_space_group_name_H-M_alt 'P 21 21 21'
_space_group_IT_number 19
_cell_length_a 7.7067
_cell_length_b 11.6360
_cell_length_c 13.9858
_cell_angle_alpha 90.00
_cell_angle_beta 90.00
_cell_angle_gamma 90.00
loop_
_space_group_symop_operation_xyz
'x,y,z'
'-x+1/2,-y,z+1/2'
'x+1/2,-y+1/2,-z'
'-x,y+1/2,-z+1/2'
loop_
_atom_site_label
_atom_site_fract_x
_atom_site_fract_y
_atom_site_fract_z
B1 0.0152 0.0849 0.1520
B2 0.0267 0.4353 0.3740
B3 0.0314 0.4916 0.2553
B4 0.1231 0.9876 0.7103
B5 0.1281 0.0104 0.0596
B6 0.1297 0.1302 0.6641
B7 0.1502 0.0166 0.5852
B8 0.1584 0.0785 0.2543
B9 0.1939 0.8691 0.0825
B10 0.2436 0.1011 0.1402
H1 0.0049 0.4525 0.7526
H2 0.0135 0.3846 0.2892
H3 0.0200 0.2010 0.6702
H4 0.0423 0.9998 0.5257
H5 0.0508 0.7598 0.4402
H6 0.0862 0.0290 0.9788
H7 0.1125 0.9825 0.2981
H8 0.1511 0.4909 0.2019
H9 0.1549 0.0875 0.7526
H10 0.1567 0.3986 0.4080
H11 0.1667 0.1482 0.3164
H12 0.1871 0.7955 0.0236
H13 0.2015 0.8043 0.6270
H14 0.2156 0.8152 0.1650
S1 0.1440 0.7039 0.3730
# Final energy: -4.838 eV/atom
# Energy relative to the elements: -121 meV/atom
# Spin magnetization: 0.1 Bohr magnetons per cell
# Energy above the most stable polymorph in this dataset: 5 meV per atom
# Crystal system: orthorhombic